(1)
A relaxed structure of Na5Ca4P4O16F. Source: Materials Project, functional PBE-GGA.

Summary:
SG ... I-4
Total energy ... -6.56 eV/atom
ΔH_f (0 K) ... -3034 meV/atom

```
Na5Ca4P4O16F
1.0
-5.875 5.875 2.736
5.875 -5.875 2.736
5.875 5.875 -2.736
Na Ca P O F
5 4 4 16 1
direct
0.129 0.334 0.982 Na
0.853 0.871 0.206 Na
0.666 0.648 0.794 Na
0.250 0.750 0.500 Na
0.352 0.147 0.018 Na
0.552 0.342 0.433 Ca
0.658 0.091 0.210 Ca
0.881 0.448 0.790 Ca
0.909 0.119 0.567 Ca
0.365 0.510 0.355 P
0.156 0.010 0.645 P
0.990 0.635 0.146 P
0.490 0.844 0.854 P
0.890 0.669 0.014 O
0.221 0.542 0.755 O
0.067 0.004 0.480 O
0.458 0.213 0.679 O
0.413 0.933 0.937 O
0.659 0.017 0.742 O
0.533 0.779 0.321 O
0.996 0.476 0.063 O
0.331 0.346 0.221 O
0.787 0.467 0.245 O
0.125 0.110 0.779 O
0.983 0.726 0.643 O
0.274 0.917 0.258 O
0.524 0.587 0.520 O
0.083 0.341 0.357 O
0.654 0.875 0.986 O
0.750 0.250 0.500 F
```



(2)
A relaxed structure of ThSi2. Source: Materials Project, functional PBE-GGA.

Summary:
SG ... I4_1/amd
Total energy ... -6.71 eV/atom
ΔH_f (0 K) ... -570 meV/atom

```
ThSi2
1.0
-2.062 2.062 7.250
2.062 -2.062 7.250
2.062 2.062 -7.250
Th Si
2 4
direct
0.750 0.250 0.500 Th
0.000 0.000 0.000 Th
0.583 0.583 0.000 Si
0.333 0.833 0.500 Si
0.167 0.667 0.500 Si
0.417 0.417 0.000 Si
```



(3)
A relaxed structure of Na14Ca5Hf3P12O48. Source: Materials Project, functional PBE-GGA.

Summary:
SG ... P1
Total energy ... -6.96 eV/atom
ΔH_f (0 K) ... -2964 meV/atom

```
Na14Ca5Hf3P12O48
1.0
-3.280 13.832 12.140
-6.003 -7.149 -0.639
11.461 -10.998 15.644
Na Ca Hf P O
42 15 9 36 144
direct
0.185 0.355 0.240 Na
0.685 0.357 0.242 Na
0.992 0.642 0.242 Na
0.494 0.641 0.240 Na
0.321 0.628 0.742 Na
0.822 0.630 0.744 Na
0.178 0.014 0.743 Na
0.678 0.014 0.740 Na
0.164 0.343 0.574 Na
0.664 0.344 0.574 Na
0.008 0.674 0.575 Na
0.508 0.673 0.575 Na
0.327 0.979 0.575 Na
0.828 0.978 0.577 Na
0.157 0.979 0.073 Na
0.660 0.971 0.077 Na
0.328 0.668 0.075 Na
0.013 0.351 0.078 Na
0.512 0.348 0.074 Na
0.482 0.672 0.916 Na
0.996 0.682 0.908 Na
0.353 0.037 0.915 Na
0.165 0.289 0.915 Na
0.662 0.298 0.908 Na
0.483 0.295 0.415 Na
0.982 0.295 0.415 Na
0.163 0.037 0.413 Na
0.664 0.038 0.414 Na
0.354 0.666 0.413 Na
0.854 0.666 0.412 Na
0.999 0.001 0.494 Na
0.500 0.001 0.494 Na
0.973 0.977 0.994 Na
0.500 0.001 0.996 Na
0.342 0.332 0.831 Na
0.847 0.312 0.828 Na
0.334 0.315 0.331 Na
0.834 0.314 0.331 Na
0.176 0.683 0.163 Na
0.688 0.688 0.160 Na
0.158 0.650 0.663 Na
0.658 0.650 0.663 Na
0.997 0.002 0.346 Ca
0.498 0.002 0.346 Ca
0.996 0.002 0.850 Ca
0.499 0.004 0.846 Ca
0.337 0.332 0.683 Ca
0.838 0.334 0.682 Ca
0.333 0.323 0.182 Ca
0.834 0.331 0.183 Ca
0.333 0.331 0.984 Ca
0.334 0.333 0.484 Ca
0.834 0.333 0.484 Ca
0.167 0.667 0.015 Ca
0.670 0.665 0.016 Ca
0.168 0.668 0.514 Ca
0.668 0.669 0.514 Ca
0.999 0.005 0.654 Hf
0.500 0.005 0.656 Hf
0.993 0.995 0.151 Hf
0.501 0.001 0.153 Hf
0.833 0.334 0.982 Hf
0.169 0.670 0.314 Hf
0.669 0.671 0.315 Hf
0.162 0.661 0.816 Hf
0.670 0.669 0.817 Hf
0.145 0.986 0.251 P
0.650 0.992 0.255 P
0.346 0.700 0.253 P
0.845 0.701 0.254 P
0.006 0.314 0.253 P
0.508 0.316 0.253 P
0.149 0.307 0.755 P
0.652 0.312 0.754 P
0.004 0.703 0.754 P
0.506 0.704 0.757 P
0.341 0.985 0.756 P
0.843 0.988 0.751 P
0.488 0.325 0.580 P
0.989 0.326 0.579 P
0.173 0.025 0.586 P
0.673 0.024 0.586 P
0.338 0.651 0.588 P
0.838 0.651 0.587 P
0.487 0.649 0.086 P
0.980 0.646 0.084 P
0.339 0.025 0.079 P
0.838 0.042 0.084 P
0.174 0.322 0.087 P
0.678 0.320 0.087 P
0.314 0.658 0.916 P
0.815 0.650 0.915 P
0.013 0.371 0.922 P
0.517 0.375 0.919 P
0.171 0.973 0.916 P
0.672 0.972 0.919 P
0.315 0.969 0.418 P
0.815 0.970 0.419 P
0.171 0.370 0.415 P
0.670 0.370 0.416 P
0.015 0.661 0.415 P
0.515 0.661 0.415 P
0.109 0.998 0.311 O
0.612 0.000 0.315 O
0.390 0.768 0.312 O
0.888 0.768 0.314 O
0.501 0.231 0.313 O
0.000 0.232 0.313 O
0.114 0.215 0.814 O
0.616 0.222 0.813 O
0.499 0.773 0.816 O
0.002 0.780 0.814 O
0.382 0.998 0.816 O
0.890 0.001 0.808 O
0.399 0.977 0.704 O
0.894 0.981 0.695 O
0.092 0.200 0.702 O
0.593 0.204 0.701 O
0.010 0.825 0.702 O
0.516 0.831 0.705 O
0.402 0.818 0.200 O
0.900 0.820 0.202 O
0.008 0.198 0.201 O
0.514 0.205 0.201 O
0.082 0.966 0.199 O
0.588 0.978 0.203 O
0.439 0.356 0.628 O
0.940 0.356 0.628 O
0.225 0.110 0.642 O
0.725 0.110 0.642 O
0.327 0.545 0.643 O
0.828 0.547 0.642 O
0.444 0.546 0.141 O
0.945 0.550 0.142 O
0.325 0.122 0.128 O
0.829 0.117 0.141 O
0.227 0.345 0.142 O
0.722 0.333 0.146 O
0.213 0.297 0.029 O
0.732 0.306 0.033 O
0.437 0.573 0.028 O
0.924 0.539 0.030 O
0.352 0.110 0.018 O
0.849 0.163 0.030 O
0.213 0.127 0.529 O
0.712 0.127 0.529 O
0.353 0.577 0.530 O
0.851 0.574 0.529 O
0.444 0.293 0.519 O
0.944 0.296 0.518 O
0.276 0.658 0.977 O
0.771 0.661 0.970 O
0.053 0.446 0.982 O
0.553 0.448 0.980 O
0.169 0.886 0.974 O
0.661 0.878 0.977 O
0.277 0.894 0.479 O
0.778 0.895 0.480 O
0.171 0.452 0.475 O
0.671 0.452 0.475 O
0.057 0.663 0.474 O
0.557 0.663 0.475 O
0.073 0.665 0.361 O
0.572 0.665 0.362 O
0.257 0.845 0.367 O
0.757 0.846 0.368 O
0.168 0.481 0.362 O
0.668 0.480 0.362 O
0.067 0.493 0.869 O
0.581 0.496 0.870 O
0.168 0.858 0.861 O
0.680 0.871 0.864 O
0.255 0.659 0.865 O
0.765 0.643 0.857 O
0.005 0.815 0.414 O
0.503 0.814 0.415 O
0.402 0.990 0.415 O
0.903 0.991 0.416 O
0.093 0.196 0.414 O
0.593 0.196 0.415 O
0.004 0.201 0.915 O
0.508 0.201 0.915 O
0.094 0.996 0.915 O
0.598 0.001 0.912 O
0.401 0.813 0.914 O
0.906 0.788 0.913 O
0.490 0.161 0.594 O
0.992 0.163 0.592 O
0.087 0.016 0.592 O
0.586 0.016 0.593 O
0.419 0.825 0.595 O
0.920 0.825 0.593 O
0.492 0.823 0.092 O
0.983 0.817 0.086 O
0.423 0.024 0.092 O
0.922 0.039 0.086 O
0.088 0.157 0.094 O
0.594 0.150 0.086 O
0.322 0.124 0.747 O
0.822 0.126 0.747 O
0.237 0.336 0.746 O
0.739 0.336 0.746 O
0.431 0.536 0.746 O
0.928 0.535 0.748 O
0.333 0.525 0.244 O
0.833 0.527 0.246 O
0.438 0.352 0.245 O
0.938 0.357 0.246 O
0.229 0.139 0.242 O
0.734 0.145 0.248 O
0.319 0.498 0.907 O
0.815 0.479 0.917 O
0.434 0.371 0.908 O
0.928 0.370 0.919 O
0.252 0.139 0.908 O
0.753 0.147 0.922 O
0.316 0.134 0.408 O
0.817 0.135 0.408 O
0.251 0.362 0.407 O
0.750 0.361 0.407 O
0.431 0.499 0.408 O
0.931 0.501 0.407 O
0.158 0.469 0.084 O
0.658 0.458 0.079 O
0.070 0.681 0.077 O
0.576 0.677 0.084 O
0.268 0.844 0.082 O
0.764 0.871 0.076 O
0.158 0.846 0.584 O
0.657 0.846 0.584 O
0.264 0.681 0.584 O
0.764 0.681 0.584 O
0.078 0.470 0.581 O
0.578 0.468 0.581 O
0.149 0.821 0.250 O
0.653 0.826 0.252 O
0.260 0.690 0.251 O
0.758 0.687 0.252 O
0.092 0.480 0.249 O
0.592 0.484 0.250 O
0.154 0.479 0.755 O
0.657 0.486 0.753 O
0.087 0.696 0.751 O
0.590 0.701 0.755 O
0.257 0.815 0.752 O
0.759 0.819 0.750 O
```



(4)
A relaxed structure of HoCo3Ni2. Source: Materials Project, functional PBE-GGA.

Summary:
SG ... P6/mmm
Total energy ... -6.44 eV/atom
ΔH_f (0 K) ... -200 meV/atom

```
HoCo3Ni2
1.0
2.416 -4.184 0.000
2.416 4.184 0.000
0.000 0.000 4.018
Ho Co Ni
1 3 2
direct
0.000 0.000 0.000 Ho
0.500 0.500 0.500 Co
0.500 0.000 0.500 Co
0.000 0.500 0.500 Co
0.667 0.333 0.000 Ni
0.333 0.667 0.000 Ni
```



(5)
A relaxed structure of MgMnMoS4. Source: Materials Project, functional PBE-GGA.

Summary:
SG ... Imma
Total energy ... -6.13 eV/atom
ΔH_f (0 K) ... -968 meV/atom

```
MgMnMoS4
1.0
6.440 0.001 3.720
2.136 6.011 3.741
0.026 0.043 7.396
Mg Mn Mo S
2 2 2 8
direct
0.880 0.870 0.870 Mg
0.120 0.130 0.130 Mg
0.500 0.500 0.000 Mn
0.500 0.000 0.500 Mn
0.500 0.500 0.500 Mo
0.000 0.500 0.500 Mo
0.740 0.737 0.737 S
0.257 0.265 0.721 S
0.257 0.721 0.264 S
0.713 0.263 0.263 S
0.743 0.279 0.735 S
0.287 0.737 0.737 S
0.260 0.263 0.263 S
0.743 0.735 0.279 S
```



(6)
A relaxed structure of NpSnIr. Source: Materials Project, functional PBE-GGA.

Summary:
SG ... P-62m
Total energy ... -9.01 eV/atom
ΔH_f (0 K) ... -411 meV/atom

```
NpSnIr
1.0
-4.373 5.635 1.972
-2.526 -6.947 0.363
1.342 -0.289 3.802
Np Sn Ir
3 3 3
direct
0.000 0.586 0.500 Np
0.586 0.000 0.500 Np
0.414 0.414 0.500 Np
0.000 0.254 0.000 Sn
0.746 0.746 0.000 Sn
0.254 0.000 0.000 Sn
0.333 0.667 0.000 Ir
0.000 0.000 0.500 Ir
0.667 0.333 0.000 Ir
```



(7)
A relaxed structure of Fe4C. Source: Materials Project, functional PBE-GGA.

Summary:
Energy above the most stable polymorph in this dataset ... 146.0 meV per atom
SG ... I4/m
Total energy ... -8.34 eV/atom
ΔH_f (0 K) ... 279 meV/atom

```
Fe4C
1.0
-3.045 3.045 1.236
3.045 -3.045 1.236
3.045 3.045 -1.236
Fe C
4 1
direct
0.237 0.574 0.811 Fe
0.763 0.426 0.189 Fe
0.426 0.237 0.662 Fe
0.574 0.763 0.338 Fe
0.000 0.000 0.000 C
```



(8)
A relaxed structure of CsSn. Source: Materials Project, functional PBE-GGA.

Summary:
SG ... P-43n
Total energy ... -2.76 eV/atom
ΔH_f (0 K) ... -308 meV/atom

```
CsSn
1.0
14.792 0.000 0.000
0.000 14.792 0.000
0.000 0.000 14.792
Cs Sn
32 32
direct
0.663 0.934 0.141 Cs
0.333 0.333 0.333 Cs
0.337 0.934 0.859 Cs
0.667 0.333 0.667 Cs
0.641 0.566 0.837 Cs
0.833 0.833 0.833 Cs
0.833 0.167 0.167 Cs
0.566 0.837 0.641 Cs
0.167 0.833 0.167 Cs
0.663 0.066 0.859 Cs
0.337 0.066 0.141 Cs
0.163 0.641 0.434 Cs
0.167 0.167 0.833 Cs
0.359 0.434 0.837 Cs
0.333 0.667 0.667 Cs
0.641 0.434 0.163 Cs
0.667 0.667 0.333 Cs
0.141 0.337 0.066 Cs
0.066 0.859 0.663 Cs
0.434 0.163 0.641 Cs
0.434 0.837 0.359 Cs
0.859 0.663 0.066 Cs
0.934 0.141 0.663 Cs
0.566 0.163 0.359 Cs
0.934 0.859 0.337 Cs
0.359 0.566 0.163 Cs
0.837 0.641 0.566 Cs
0.066 0.141 0.337 Cs
0.837 0.359 0.434 Cs
0.141 0.663 0.934 Cs
0.163 0.359 0.566 Cs
0.859 0.337 0.934 Cs
0.423 0.680 0.933 Sn
0.071 0.929 0.929 Sn
0.923 0.567 0.820 Sn
0.571 0.429 0.429 Sn
0.077 0.567 0.180 Sn
0.429 0.571 0.429 Sn
0.320 0.067 0.423 Sn
0.180 0.923 0.433 Sn
0.071 0.071 0.071 Sn
0.180 0.077 0.567 Sn
0.923 0.433 0.180 Sn
0.933 0.423 0.680 Sn
0.077 0.433 0.820 Sn
0.567 0.180 0.077 Sn
0.571 0.571 0.571 Sn
0.820 0.077 0.433 Sn
0.577 0.680 0.067 Sn
0.680 0.933 0.423 Sn
0.680 0.067 0.577 Sn
0.423 0.320 0.067 Sn
0.820 0.923 0.567 Sn
0.929 0.071 0.929 Sn
0.567 0.820 0.923 Sn
0.429 0.429 0.571 Sn
0.577 0.320 0.933 Sn
0.433 0.180 0.923 Sn
0.933 0.577 0.320 Sn
0.067 0.423 0.320 Sn
0.320 0.933 0.577 Sn
0.929 0.929 0.071 Sn
0.067 0.577 0.680 Sn
0.433 0.820 0.077 Sn
```



What did the seventh record say?
A relaxed structure of Fe4C. Source: Materials Project, functional PBE-GGA.

Summary:
Energy above the most stable polymorph in this dataset ... 146.0 meV per atom
SG ... I4/m
Total energy ... -8.34 eV/atom
ΔH_f (0 K) ... 279 meV/atom

```
Fe4C
1.0
-3.045 3.045 1.236
3.045 -3.045 1.236
3.045 3.045 -1.236
Fe C
4 1
direct
0.237 0.574 0.811 Fe
0.763 0.426 0.189 Fe
0.426 0.237 0.662 Fe
0.574 0.763 0.338 Fe
0.000 0.000 0.000 C
```



Question: total energy of number 8 (CsSn)?
Answer: -2.76 eV/atom